Record 1
ZrRh3 r²SCAN relaxed; calculated formation energy = -0.743 eV per atom; E_tot = -24.533 eV/atom; SG = Pm-3m
1.0
-0.0041 -1.4906 -3.6408
3.8752 0.6262 -0.2608
0.6783 -3.5865 1.4677
Rh Zr
3 1
Direct
0.0000 0.5000 0.5000
0.5000 0.0000 0.5000
0.5000 0.5000 0.0000
0.0000 0.0000 0.0000

---

Record 2
BaTiO3 r²SCAN relaxed; calculated formation energy = -3.358 eV per atom; E_tot = -14.829 eV/atom
1.0
-2.9860 1.9887 -4.3860
4.2695 -1.2943 -3.4935
-2.2182 -3.9883 3.3621
Ti O Ba
2 6 2
Direct
0.0000 0.0000 0.0000
0.5000 0.5000 0.0000
0.2505 0.2495 0.0000
0.2500 0.2500 0.5000
0.7505 0.2505 0.0000
0.7500 0.7500 0.5000
0.7495 0.7505 0.0000
0.2495 0.7495 0.0000
0.2500 0.7500 0.5000
0.7500 0.2500 0.5000

---

Record 3
TbP5O14 r²SCAN relaxed; calculated formation energy = -2.571 eV per atom; E_tot = -10.564 eV/atom; SG = P2_1/c
1.0
8.8530 0.0000 0.0000
0.0000 8.7131 0.0037
0.0000 0.1073 12.8728
O P Tb
56 20 4
Direct
0.4179 0.5913 0.7609
0.5729 0.0914 0.7896
0.8125 0.2925 0.5892
0.1930 0.7224 0.5999
0.3824 0.0891 0.3527
0.5821 0.4087 0.2391
0.1875 0.7075 0.4108
0.1187 0.0866 0.1459
0.6169 0.5838 0.6193
0.8813 0.9134 0.8541
0.0947 0.2774 0.3904
0.6866 0.0300 0.0050
0.0988 0.8728 0.2710
0.8824 0.9108 0.1473
0.4271 0.9086 0.2104
0.1250 0.4205 0.1106
0.3813 0.0866 0.6459
0.4030 0.2667 0.1154
0.4206 0.6342 0.2580
0.9030 0.7333 0.3846
0.6875 0.2925 0.0892
0.9012 0.1272 0.7290
0.9271 0.0914 0.2896
0.6187 0.9134 0.3541
0.1866 0.9700 0.4950
0.6176 0.9108 0.6473
0.8750 0.5795 0.8894
0.8831 0.5838 0.1193
0.5794 0.3658 0.7420
0.3831 0.4162 0.3807
0.5988 0.1272 0.2290
0.0729 0.9086 0.7104
0.9053 0.7226 0.6096
0.0793 0.7917 0.9995
0.3125 0.7075 0.9108
0.4012 0.8728 0.7710
0.4207 0.7917 0.4995
0.6930 0.2776 0.9001
0.3070 0.7224 0.0999
0.9206 0.3658 0.2420
0.3750 0.4205 0.6106
0.0794 0.6342 0.7580
0.4053 0.2774 0.8904
0.5793 0.2083 0.5005
0.6250 0.5795 0.3894
0.3134 0.9700 0.9950
0.5970 0.7333 0.8846
0.9207 0.2083 0.0005
0.5947 0.7226 0.1096
0.8070 0.2776 0.4001
0.0970 0.2667 0.6154
0.1169 0.4162 0.8807
0.1176 0.0891 0.8527
0.0821 0.5913 0.2609
0.8134 0.0300 0.5050
0.9179 0.4087 0.7391
0.7564 0.1839 0.9999
0.9946 0.0078 0.7995
0.4946 0.9922 0.7005
0.5514 0.2726 0.1647
0.5054 0.0078 0.2995
0.2564 0.8161 0.5001
0.0514 0.7274 0.3353
0.4486 0.7274 0.8353
0.9530 0.2546 0.3344
0.0030 0.4935 0.1701
0.5030 0.5065 0.3299
0.0470 0.7454 0.6656
0.0054 0.9922 0.2005
0.2436 0.8161 0.0001
0.9486 0.2726 0.6647
0.9970 0.5065 0.8299
0.7436 0.1839 0.4999
0.4970 0.4935 0.6701
0.4530 0.7454 0.1656
0.5470 0.2546 0.8344
0.3088 0.2226 0.4988
0.1912 0.2226 0.9988
0.8088 0.7774 0.0012
0.6912 0.7774 0.5012

---

Record 4
U8CrS17 r²SCAN relaxed; calculated formation energy = -1.783 eV per atom; E_tot = -32.213 eV/atom; SG = P-1
1.0
-3.6661 -0.3929 6.9810
1.9244 -6.2071 4.4521
7.3065 4.4483 6.0518
S U Cr
17 8 1
Direct
0.4308 0.8244 0.5333
0.0532 0.0581 0.7744
0.1771 0.5674 0.4659
0.7869 0.7932 0.7201
0.6964 0.7004 0.2429
0.5235 0.5193 0.8304
0.4770 0.4803 0.1698
0.0555 0.6790 0.9710
0.6786 0.0558 0.9735
0.2123 0.2072 0.2798
0.3213 0.9441 0.0267
0.0001 0.0000 0.4999
0.8230 0.4324 0.5337
0.5692 0.1758 0.4664
0.3041 0.2990 0.7571
0.9464 0.9424 0.2257
0.9443 0.3213 0.0290
0.7942 0.7934 0.4550
0.2061 0.2063 0.5454
0.3022 0.8159 0.2962
0.3204 0.3216 0.0208
0.6795 0.6786 0.9791
0.1838 0.6989 0.7008
0.8163 0.3010 0.2990
0.6979 0.1839 0.7039
0.9998 0.0001 0.0001

---

- The highest calculated formation energy belongs to which entry?
  ZrRh3